No. 1
This record from Materials Project describes a relaxed structure of ScInPd2. The functional is PBE.

Summary:
For the total energy, the calculation gives -5.6944 eV per atom. The formation energy from the elements comes out at -0.833 eV/atom. Its crystal system is cubic. The volume is 71.6 Å³/cell.

Cell lengths 4.6616, 4.6616, 4.6616 Å; angles 60.00, 60.00, 60.00 degrees
Last column: nearest neighbours and their distance in Å.
Fractional positions:
Sc (0.5000, 0.5000, 0.5000)  8 Pd 2.85
Pd (0.7500, 0.7500, 0.7500)  4 Sc 2.85, 4 In 2.85
Pd (0.2500, 0.2500, 0.2500)  4 Sc 2.85, 4 In 2.85
In (0.0000, 0.0000, 0.0000)  8 Pd 2.85

=====

No. 2
This record from Materials Project describes a relaxed structure of Ac3Tm. The functional is PBE.

Summary:
For the total energy, the calculation gives -4.1375 eV per atom. The formation energy from the elements comes out at 0.072 eV/atom. Its crystal system is tetragonal. The volume is 163.7 Å³/cell.

Cell lengths 6.6790, 6.6790, 6.6790 Å; angles 131.49, 131.49, 71.03 degrees
Last column: nearest neighbours and their distance in Å.
Fractional positions:
Ac (0.5000, 0.5000, 0.0000)  8 Ac 3.86, 4 Tm 3.88
Ac (0.7500, 0.2500, 0.5000)  8 Ac 3.86-3.88, 4 Tm 3.86
Ac (0.2500, 0.7500, 0.5000)  8 Ac 3.86-3.88, 4 Tm 3.86
Tm (0.0000, 0.0000, 0.0000)  12 Ac 3.86-3.88

=====

No. 3
This record from Materials Project describes a relaxed structure of Cu2BiSO2. The functional is PBE.

Summary:
For the total energy, the calculation gives -4.3020 eV per atom. The formation energy from the elements comes out at -0.261 eV/atom. Its crystal system is tetragonal. The volume is 133.6 Å³/cell.

Cell lengths 3.3556, 3.3556, 11.8640 Å; angles 90.00, 90.00, 90.00 degrees
Last column: nearest neighbours and their distance in Å.
Fractional positions:
Cu (0.5000, 0.5000, 0.8279)  1 O 1.74
Cu (0.5000, 0.5000, 0.1721)  1 O 1.74
O (0.5000, 0.5000, 0.3183)  1 Cu 1.74
O (0.5000, 0.5000, 0.6817)  1 Cu 1.74
Bi (0.5000, 0.5000, 0.5000)  2 O 2.16
S (0.5000, 0.5000, 0.0000)  2 Cu 2.04

=====

No. 4
This record from Materials Project describes a relaxed structure of Sr11Ge2N10. The functional is PBE.

Summary:
For the total energy, the calculation gives -5.2450 eV per atom. The formation energy from the elements comes out at -0.567 eV/atom. Its crystal system is tetragonal. The volume is 1034.0 Å³/cell.

Cell lengths 16.2769, 16.2769, 3.9028 Å; angles 90.00, 90.00, 90.00 degrees
Last column: nearest neighbours and their distance in Å.
Fractional positions:
Sr (0.7225, 0.5064, 0.0000)  4 N 2.52-2.65
Sr (0.2925, 0.2925, 0.5000)  4 N 2.49-2.63
Sr (0.0064, 0.7775, 0.5000)  4 N 2.52-2.65
Sr (0.3792, 0.1061, 0.0000)  3 N 2.58-2.65
Sr (0.2225, 0.9936, 0.5000)  4 N 2.52-2.65
Sr (0.8939, 0.6208, 0.0000)  3 N 2.58-2.65
Sr (0.7775, 0.0064, 0.5000)  4 N 2.52-2.65
Sr (0.2075, 0.7925, 0.0000)  4 N 2.49-2.63
Sr (0.3939, 0.8792, 0.5000)  3 N 2.58-2.65
Sr (0.7925, 0.2075, 0.0000)  4 N 2.49-2.63
Sr (0.8792, 0.3939, 0.5000)  3 N 2.58-2.65
Sr (0.6061, 0.1208, 0.5000)  3 N 2.58-2.65
Sr (0.1208, 0.6061, 0.5000)  3 N 2.58-2.65
Sr (0.1061, 0.3792, 0.0000)  3 N 2.58-2.65
Sr (0.2775, 0.4936, 0.0000)  4 N 2.52-2.65
Sr (0.4936, 0.2775, 0.0000)  4 N 2.52-2.65
Sr (0.5064, 0.7225, 0.0000)  4 N 2.52-2.65
Sr (0.7075, 0.7075, 0.5000)  4 N 2.49-2.63
Sr (0.5000, 0.5000, 0.5000)  4 N 2.60
Sr (0.0000, 0.0000, 0.0000)  4 N 2.60
Sr (0.9936, 0.2225, 0.5000)  4 N 2.52-2.65
Sr (0.6208, 0.8939, 0.0000)  3 N 2.58-2.65
N (0.8692, 0.1308, 0.5000)  1 N 1.29
N (0.7750, 0.7750, 0.0000)  1 Ge 1.79
N (0.5461, 0.8223, 0.5000)  5 Sr 2.58-2.65
N (0.9253, 0.0747, 0.5000)  1 N 1.29
N (0.4253, 0.4253, 0.0000)  1 N 1.29
N (0.1308, 0.8692, 0.5000)  1 N 1.29
N (0.6308, 0.6308, 0.0000)  1 N 1.29
N (0.1777, 0.4539, 0.5000)  5 Sr 2.58-2.65
N (0.6777, 0.0461, 0.0000)  5 Sr 2.58-2.65
N (0.3223, 0.9539, 0.0000)  5 Sr 2.58-2.65
N (0.0747, 0.9253, 0.5000)  1 N 1.29
N (0.0461, 0.6777, 0.0000)  5 Sr 2.58-2.65
N (0.2750, 0.7250, 0.5000)  1 Ge 1.79
N (0.3692, 0.3692, 0.0000)  1 N 1.29
N (0.8223, 0.5461, 0.5000)  5 Sr 2.58-2.65
N (0.4539, 0.1777, 0.5000)  5 Sr 2.58-2.65
N (0.7250, 0.2750, 0.5000)  1 Ge 1.79
N (0.2250, 0.2250, 0.0000)  1 Ge 1.79
N (0.5747, 0.5747, 0.0000)  1 N 1.29
N (0.9539, 0.3223, 0.0000)  5 Sr 2.58-2.65
Ge (0.1472, 0.1472, 0.0000)  1 N 1.79
Ge (0.3528, 0.6472, 0.5000)  1 N 1.79
Ge (0.6472, 0.3528, 0.5000)  1 N 1.79
Ge (0.8528, 0.8528, 0.0000)  1 N 1.79

=====

No. 5
This record from Materials Project describes a relaxed structure of LiCu3Si2O6. The functional is PBE.

Summary:
For the total energy, the calculation gives -6.3365 eV per atom. The formation energy from the elements comes out at -2.118 eV/atom. Its crystal system is monoclinic. The volume is 115.3 Å³/cell.

Cell lengths 4.8389, 4.8389, 5.9047 Å; angles 82.15, 82.15, 119.95 degrees
Last column: nearest neighbours and their distance in Å.
Fractional positions:
Cu (0.3311, 0.6689, 0.5000)  2 O 1.89
Cu (0.0000, 0.0000, 0.5000)  2 O 1.88
Cu (0.6689, 0.3311, 0.5000)  2 O 1.89
Si (0.8333, 0.1667, 0.0000)  6 O 1.81
Si (0.1667, 0.8333, 0.0000)  6 O 1.81
O (0.9275, 0.9275, 0.8300)  2 Si 1.81, 1 Cu 1.88
O (0.4446, 0.8137, 0.1690)  2 Si 1.81, 1 Cu 1.89
O (0.0725, 0.0725, 0.1700)  2 Si 1.81, 1 Cu 1.88
O (0.8137, 0.4446, 0.1690)  2 Si 1.81, 1 Cu 1.89
O (0.5554, 0.1863, 0.8310)  2 Si 1.81, 1 Cu 1.89
O (0.1863, 0.5554, 0.8310)  2 Si 1.81, 1 Cu 1.89
Li (0.5000, 0.5000, 0.0000)  6 O 2.03-2.04

=====

No. 6
This record from Materials Project describes a relaxed structure of Sr6Nb7O21. The functional is PBE.

Summary:
For the total energy, the calculation gives -8.2193 eV per atom. The formation energy from the elements comes out at -3.210 eV/atom. Its crystal system is trigonal. The volume is 472.2 Å³/cell.

Cell lengths 9.0988, 9.0988, 9.0988 Å; angles 113.56, 113.56, 113.56 degrees
Last column: nearest neighbours and their distance in Å.
Fractional positions:
O (0.6335, 0.5605, 0.7801)  2 Nb 2.01-2.04
O (0.8538, 0.9268, 0.2198)  2 Nb 2.02
O (0.1462, 0.0732, 0.7802)  2 Nb 2.02
O (0.7144, 0.3569, 0.9282)  2 Nb 2.05-2.06
O (0.5605, 0.7801, 0.6335)  2 Nb 2.01-2.04
O (0.6431, 0.0718, 0.2856)  2 Nb 2.05-2.06
O (0.4395, 0.2199, 0.3665)  2 Nb 2.01-2.04
O (0.5000, 0.5000, 0.0000)  2 Nb 2.05
O (0.7802, 0.1462, 0.0732)  2 Nb 2.02
O (0.2856, 0.6431, 0.0718)  2 Nb 2.05-2.06
O (0.2198, 0.8538, 0.9268)  2 Nb 2.02
O (0.3665, 0.4395, 0.2199)  2 Nb 2.01-2.04
O (0.0000, 0.5000, 0.5000)  2 Nb 2.05
O (0.3569, 0.9282, 0.7144)  2 Nb 2.05-2.06
O (0.7801, 0.6335, 0.5605)  2 Nb 2.01-2.04
O (0.2199, 0.3665, 0.4395)  2 Nb 2.01-2.04
O (0.5000, 0.0000, 0.5000)  2 Nb 2.05
O (0.0732, 0.7802, 0.1462)  2 Nb 2.02
O (0.9282, 0.7144, 0.3569)  2 Nb 2.05-2.06
O (0.9268, 0.2198, 0.8538)  2 Nb 2.02
O (0.0718, 0.2856, 0.6431)  2 Nb 2.05-2.06
Sr (0.1424, 0.5678, 0.2847)  12 O 2.80-2.90
Sr (0.2847, 0.1424, 0.5678)  12 O 2.80-2.90
Sr (0.7153, 0.8576, 0.4322)  12 O 2.80-2.90
Sr (0.4322, 0.7153, 0.8576)  12 O 2.80-2.90
Sr (0.8576, 0.4322, 0.7153)  12 O 2.80-2.90
Sr (0.5678, 0.2847, 0.1424)  12 O 2.80-2.90
Nb (0.3551, 0.9310, 0.2133)  6 O 2.01-2.06
Nb (0.6449, 0.0690, 0.7867)  6 O 2.01-2.06
Nb (0.5000, 0.5000, 0.5000)  6 O 2.04
Nb (0.0690, 0.7867, 0.6449)  6 O 2.01-2.06
Nb (0.9310, 0.2133, 0.3551)  6 O 2.01-2.06
Nb (0.7867, 0.6449, 0.0690)  6 O 2.01-2.06
Nb (0.2133, 0.3551, 0.9310)  6 O 2.01-2.06

=====

No. 7
This record from Materials Project describes a relaxed structure of AlCuNi6. The functional is PBE.

Summary:
For the total energy, the calculation gives -5.5046 eV per atom. The formation energy from the elements comes out at -0.189 eV/atom. Its crystal system is tetragonal. The volume is 89.0 Å³/cell.

Cell lengths 3.5428, 3.5428, 7.0913 Å; angles 90.00, 90.00, 90.00 degrees
Last column: nearest neighbours and their distance in Å.
Fractional positions:
Al (0.0000, 0.0000, 0.0000)  12 Ni 2.51
Ni (0.0000, 0.5000, 0.2506)  8 Ni 2.50-2.51, 2 Cu 2.50, 2 Al 2.51
Ni (0.5000, 0.0000, 0.7494)  8 Ni 2.50-2.51, 2 Cu 2.50, 2 Al 2.51
Ni (0.5000, 0.5000, 0.5000)  8 Ni 2.50, 4 Cu 2.51
Ni (0.5000, 0.5000, 0.0000)  4 Al 2.51, 8 Ni 2.51
Ni (0.0000, 0.5000, 0.7494)  8 Ni 2.50-2.51, 2 Cu 2.50, 2 Al 2.51
Ni (0.5000, 0.0000, 0.2506)  8 Ni 2.50-2.51, 2 Cu 2.50, 2 Al 2.51
Cu (0.0000, 0.0000, 0.5000)  12 Ni 2.50-2.51

=====

No. 8
This record from Materials Project describes a relaxed structure of GaFe3. The functional is PBE.

Summary:
For the total energy, the calculation gives -7.1100 eV per atom. The formation energy from the elements comes out at 0.000 eV/atom. Its crystal system is orthorhombic. The volume is 49.9 Å³/cell.

Cell lengths 2.5662, 2.5662, 7.8951 Å; angles 90.00, 90.00, 106.45 degrees
Last column: nearest neighbours and their distance in Å.
Fractional positions:
Fe (0.5000, 0.5000, 0.7457)  6 Fe 2.47-2.57, 2 Ga 2.53
Fe (0.5000, 0.5000, 0.2543)  6 Fe 2.47-2.57, 2 Ga 2.53
Fe (0.0000, 0.0000, 0.5000)  8 Fe 2.47-2.57
Ga (0.0000, 0.0000, 0.0000)  4 Fe 2.53, 4 Ga 2.57